Entry 1:
VASP calculation (PBE) on an optimized crystal structure of Li2CuSi4O10.

As for the symmetry: P2_1/m.

Lattice parameters (Å, degrees): 11.040 7.701 11.127 90.00 110.87 90.00
Sites, in units of the cell vectors:
1 Li 0.042 0.250 0.107
2 Li 0.096 0.250 0.395
3 Li 0.369 0.250 0.835
4 Li 0.385 0.250 0.446
5 Li 0.615 0.750 0.554
6 Li 0.631 0.750 0.165
7 Li 0.904 0.750 0.605
8 Li 0.958 0.750 0.893
9 Cu 0.214 0.029 0.282
10 Cu 0.214 0.471 0.282
11 Cu 0.786 0.529 0.718
12 Cu 0.786 0.971 0.718
13 Si 0.085 0.047 0.741
14 Si 0.085 0.453 0.741
15 Si 0.237 0.550 0.015
16 Si 0.237 0.950 0.015
17 Si 0.262 0.545 0.589
18 Si 0.262 0.955 0.589
19 Si 0.469 0.054 0.224
20 Si 0.469 0.446 0.224
21 Si 0.531 0.554 0.776
22 Si 0.531 0.946 0.776
23 Si 0.738 0.045 0.411
24 Si 0.738 0.455 0.411
25 Si 0.763 0.050 0.985
26 Si 0.763 0.450 0.985
27 Si 0.915 0.547 0.259
28 Si 0.915 0.953 0.259
29 O 0.031 0.070 0.250
30 O 0.031 0.430 0.250
31 O 0.044 0.250 0.704
32 O 0.133 0.533 0.629
33 O 0.133 0.967 0.629
34 O 0.166 0.051 0.098
35 O 0.166 0.449 0.098
36 O 0.181 0.750 0.981
37 O 0.214 0.050 0.877
38 O 0.214 0.450 0.877
39 O 0.246 0.072 0.465
40 O 0.246 0.428 0.465
41 O 0.292 0.750 0.570
42 O 0.384 0.035 0.716
43 O 0.384 0.465 0.716
44 O 0.396 0.560 0.092
45 O 0.396 0.940 0.092
46 O 0.400 0.049 0.329
47 O 0.400 0.451 0.329
48 O 0.486 0.250 0.175
49 O 0.514 0.750 0.825
50 O 0.600 0.549 0.671
51 O 0.600 0.951 0.671
52 O 0.604 0.060 0.908
53 O 0.604 0.440 0.908
54 O 0.616 0.535 0.284
55 O 0.616 0.965 0.284
56 O 0.708 0.250 0.430
57 O 0.754 0.572 0.535
58 O 0.754 0.928 0.535
59 O 0.786 0.550 0.123
60 O 0.786 0.950 0.123
61 O 0.819 0.250 0.019
62 O 0.834 0.551 0.902
63 O 0.834 0.949 0.902
64 O 0.867 0.033 0.371
65 O 0.867 0.467 0.371
66 O 0.956 0.750 0.296
67 O 0.969 0.570 0.750
68 O 0.969 0.930 0.750

Entry 2:
VASP calculation (PBE) on an optimized crystal structure of Li2Cu5Si4O14.

As for the symmetry: P-1.

Lattice parameters (Å, degrees): 5.541 7.550 7.876 64.89 89.86 73.25
Sites, in units of the cell vectors:
1 Li 0.238 0.388 0.449
2 Li 0.762 0.612 0.551
3 Cu 0.000 0.500 0.000
4 Cu 0.079 0.112 0.815
5 Cu 0.329 0.072 0.286
6 Cu 0.671 0.928 0.714
7 Cu 0.921 0.888 0.185
8 Si 0.198 0.714 0.597
9 Si 0.495 0.272 0.860
10 Si 0.505 0.728 0.140
11 Si 0.802 0.286 0.403
12 O 0.032 0.312 0.266
13 O 0.101 0.675 0.423
14 O 0.210 0.850 0.039
15 O 0.290 0.914 0.544
16 O 0.304 0.274 0.020
17 O 0.409 0.163 0.735
18 O 0.461 0.515 0.716
19 O 0.539 0.485 0.284
20 O 0.591 0.837 0.265
21 O 0.696 0.726 0.980
22 O 0.710 0.086 0.456
23 O 0.790 0.150 0.961
24 O 0.899 0.325 0.577
25 O 0.968 0.688 0.734

Entry 3:
VASP calculation (PBE) on an optimized crystal structure of Li2CuSi4O10.

As for the symmetry: P2_1/m.

Lattice parameters (Å, degrees): 10.782 7.779 10.940 90.00 111.57 90.00
Sites, in units of the cell vectors:
1 Li 0.024 0.250 0.433
2 Li 0.118 0.750 0.902
3 Li 0.374 0.250 0.372
4 Li 0.420 0.750 0.007
5 Li 0.580 0.250 0.993
6 Li 0.626 0.750 0.628
7 Li 0.882 0.250 0.098
8 Li 0.976 0.750 0.567
9 Cu 0.223 0.000 0.783
10 Cu 0.223 0.500 0.783
11 Cu 0.777 0.000 0.217
12 Cu 0.777 0.500 0.217
13 Si 0.083 0.549 0.250
14 Si 0.083 0.951 0.250
15 Si 0.237 0.054 0.077
16 Si 0.237 0.446 0.077
17 Si 0.273 0.543 0.527
18 Si 0.273 0.957 0.527
19 Si 0.496 0.562 0.254
20 Si 0.496 0.938 0.254
21 Si 0.504 0.062 0.746
22 Si 0.504 0.438 0.746
23 Si 0.727 0.043 0.473
24 Si 0.727 0.457 0.473
25 Si 0.763 0.554 0.923
26 Si 0.763 0.946 0.923
27 Si 0.917 0.049 0.750
28 Si 0.917 0.451 0.750
29 O 0.040 0.572 0.755
30 O 0.040 0.928 0.755
31 O 0.055 0.750 0.277
32 O 0.120 0.538 0.118
33 O 0.120 0.962 0.118
34 O 0.170 0.021 0.593
35 O 0.170 0.479 0.593
36 O 0.187 0.250 0.025
37 O 0.218 0.019 0.372
38 O 0.218 0.481 0.372
39 O 0.266 0.564 0.970
40 O 0.266 0.936 0.970
41 O 0.304 0.750 0.540
42 O 0.371 0.077 0.213
43 O 0.371 0.423 0.213
44 O 0.412 0.040 0.831
45 O 0.412 0.460 0.831
46 O 0.419 0.750 0.225
47 O 0.423 0.046 0.586
48 O 0.423 0.454 0.586
49 O 0.577 0.546 0.414
50 O 0.577 0.954 0.414
51 O 0.581 0.250 0.775
52 O 0.588 0.540 0.169
53 O 0.588 0.960 0.169
54 O 0.629 0.577 0.787
55 O 0.629 0.923 0.787
56 O 0.696 0.250 0.460
57 O 0.734 0.064 0.030
58 O 0.734 0.436 0.030
59 O 0.782 0.519 0.628
60 O 0.782 0.981 0.628
61 O 0.813 0.750 0.975
62 O 0.830 0.521 0.407
63 O 0.830 0.979 0.407
64 O 0.880 0.038 0.882
65 O 0.880 0.462 0.882
66 O 0.945 0.250 0.723
67 O 0.960 0.072 0.245
68 O 0.960 0.428 0.245

Entry 4:
VASP calculation (PBE) on an optimized crystal structure of Li2Cu2Si8O19.

As for the symmetry: P1.

Lattice parameters (Å, degrees): 4.926 7.188 12.338 73.70 78.57 70.20
Sites, in units of the cell vectors:
1 Li 0.000 0.000 0.000
2 Li 0.218 0.848 0.734
3 Cu 0.098 0.416 0.768
4 Cu 0.489 0.428 0.960
5 Si 0.290 0.734 0.295
6 Si 0.423 0.152 0.193
7 Si 0.530 0.111 0.435
8 Si 0.693 0.140 0.786
9 Si 0.829 0.705 0.944
10 Si 0.888 0.273 0.533
11 Si 0.906 0.571 0.197
12 Si 0.981 0.695 0.536
13 O 0.015 0.685 0.268
14 O 0.087 0.669 0.657
15 O 0.096 0.516 0.907
16 O 0.128 0.349 0.191
17 O 0.181 0.160 0.462
18 O 0.235 0.729 0.430
19 O 0.307 0.955 0.216
20 O 0.362 0.142 0.793
21 O 0.508 0.701 0.936
22 O 0.584 0.562 0.257
23 O 0.604 0.122 0.299
24 O 0.616 0.282 0.473
25 O 0.627 0.178 0.072
26 O 0.688 0.890 0.512
27 O 0.733 0.331 0.822
28 O 0.882 0.497 0.537
29 O 0.882 0.721 0.069
30 O 0.887 0.125 0.661
31 O 0.888 0.923 0.866

Entry 5:
VASP calculation (PBE) on an optimized crystal structure of Li2Cu2Si6O15.

As for the symmetry: Cmce.

Lattice parameters (Å, degrees): 11.221 11.221 10.186 90.00 90.00 100.12
Sites, in units of the cell vectors:
1 Li 0.004 0.496 0.750
2 Li 0.097 0.903 0.757
3 Li 0.403 0.597 0.257
4 Li 0.496 0.004 0.250
5 Li 0.504 0.996 0.750
6 Li 0.597 0.403 0.743
7 Li 0.903 0.097 0.243
8 Li 0.996 0.504 0.250
9 Cu 0.158 0.342 0.250
10 Cu 0.248 0.248 0.000
11 Cu 0.252 0.252 0.500
12 Cu 0.342 0.158 0.750
13 Cu 0.658 0.842 0.250
14 Cu 0.748 0.748 0.500
15 Cu 0.752 0.752 0.000
16 Cu 0.842 0.658 0.750
17 Si 0.018 0.761 0.484
18 Si 0.042 0.181 0.813
19 Si 0.080 0.695 0.956
20 Si 0.181 0.042 0.187
21 Si 0.195 0.580 0.456
22 Si 0.239 0.982 0.484
23 Si 0.261 0.518 0.984
24 Si 0.305 0.920 0.956
25 Si 0.319 0.458 0.687
26 Si 0.420 0.805 0.456
27 Si 0.458 0.319 0.313
28 Si 0.482 0.739 0.984
29 Si 0.518 0.261 0.016
30 Si 0.542 0.681 0.687
31 Si 0.580 0.195 0.544
32 Si 0.681 0.542 0.313
33 Si 0.695 0.080 0.044
34 Si 0.739 0.482 0.016
35 Si 0.761 0.018 0.516
36 Si 0.805 0.420 0.544
37 Si 0.819 0.958 0.813
38 Si 0.920 0.305 0.044
39 Si 0.958 0.819 0.187
40 Si 0.982 0.239 0.516
41 O 0.005 0.277 0.921
42 O 0.013 0.657 0.820
43 O 0.023 0.245 0.671
44 O 0.049 0.951 0.182
45 O 0.083 0.644 0.511
46 O 0.093 0.236 0.417
47 O 0.118 0.882 0.518
48 O 0.144 0.583 0.011
49 O 0.155 0.176 0.155
50 O 0.157 0.513 0.320
51 O 0.176 0.155 0.845
52 O 0.180 0.820 0.928
53 O 0.223 0.495 0.579
54 O 0.236 0.093 0.583
55 O 0.245 0.023 0.329
56 O 0.255 0.477 0.829
57 O 0.264 0.407 0.083
58 O 0.277 0.005 0.079
59 O 0.320 0.680 0.428
60 O 0.324 0.345 0.345
61 O 0.343 0.987 0.820
62 O 0.345 0.324 0.655
63 O 0.356 0.917 0.511
64 O 0.382 0.618 0.018
65 O 0.407 0.264 0.917
66 O 0.417 0.856 0.011
67 O 0.451 0.549 0.682
68 O 0.477 0.255 0.171
69 O 0.487 0.843 0.320
70 O 0.495 0.223 0.421
71 O 0.505 0.777 0.579
72 O 0.513 0.157 0.680
73 O 0.523 0.745 0.829
74 O 0.549 0.451 0.318
75 O 0.583 0.144 0.989
76 O 0.593 0.736 0.083
77 O 0.618 0.382 0.982
78 O 0.644 0.083 0.489
79 O 0.655 0.676 0.345
80 O 0.657 0.013 0.180
81 O 0.676 0.655 0.655
82 O 0.680 0.320 0.572
83 O 0.723 0.995 0.921
84 O 0.736 0.593 0.917
85 O 0.745 0.523 0.171
86 O 0.755 0.977 0.671
87 O 0.764 0.907 0.417
88 O 0.777 0.505 0.421
89 O 0.820 0.180 0.072
90 O 0.824 0.845 0.155
91 O 0.843 0.487 0.680
92 O 0.845 0.824 0.845
93 O 0.856 0.417 0.989
94 O 0.882 0.118 0.482
95 O 0.907 0.764 0.583
96 O 0.917 0.356 0.489
97 O 0.951 0.049 0.818
98 O 0.977 0.755 0.329
99 O 0.987 0.343 0.180
100 O 0.995 0.723 0.079

Entry 6:
VASP calculation (PBE) on an optimized crystal structure of Li5Cu5Sn2O12.

As for the symmetry: C2.

Lattice parameters (Å, degrees): 5.180 5.180 9.999 91.15 91.15 114.30
Sites, in units of the cell vectors:
1 Li 0.000 0.000 0.000
2 Li 0.260 0.228 0.755
3 Li 0.403 0.053 0.240
4 Li 0.772 0.740 0.245
5 Li 0.947 0.597 0.760
6 Cu 0.083 0.385 0.245
7 Cu 0.176 0.824 0.500
8 Cu 0.508 0.492 0.500
9 Cu 0.615 0.917 0.755
10 Cu 0.681 0.319 0.000
11 Sn 0.341 0.659 0.000
12 Sn 0.842 0.158 0.500
13 O 0.067 0.684 0.140
14 O 0.105 0.094 0.363
15 O 0.190 0.501 0.599
16 O 0.316 0.933 0.860
17 O 0.393 0.356 0.118
18 O 0.499 0.810 0.401
19 O 0.557 0.219 0.623
20 O 0.644 0.607 0.882
21 O 0.674 0.005 0.105
22 O 0.781 0.443 0.377
23 O 0.906 0.895 0.637
24 O 0.995 0.326 0.895

Entry 7:
VASP calculation (PBE) on an optimized crystal structure of Li2CuSnO4.

As for the symmetry: P2/m.

Lattice parameters (Å, degrees): 5.418 3.017 5.541 90.00 114.14 90.00
Sites, in units of the cell vectors:
1 Li 0.000 0.000 0.000
2 Li 0.000 0.500 0.500
3 Cu 0.500 0.000 0.500
4 Sn 0.500 0.500 0.000
5 O 0.236 0.000 0.779
6 O 0.297 0.500 0.254
7 O 0.703 0.500 0.746
8 O 0.764 0.000 0.221

Entry 8:
VASP calculation (PBE) on an optimized crystal structure of Li2CuSnO4.

As for the symmetry: Imma.

Lattice parameters (Å, degrees): 6.280 6.280 6.280 123.97 122.43 84.55
Sites, in units of the cell vectors:
1 Li 0.000 0.000 0.000
2 Li 0.500 0.000 0.000
3 Li 0.500 0.000 0.500
4 Li 0.500 0.500 0.500
5 Cu 0.000 0.000 0.500
6 Cu 0.000 0.500 0.000
7 Sn 0.000 0.500 0.500
8 Sn 0.500 0.500 0.000
9 O 0.201 0.726 0.475
10 O 0.249 0.274 0.975
11 O 0.270 0.276 0.506
12 O 0.270 0.764 0.994
13 O 0.730 0.236 0.006
14 O 0.730 0.724 0.494
15 O 0.751 0.726 0.025
16 O 0.799 0.274 0.525

| no. | ΔH_f (0 K) (meV/atom) |
| --- | --- |
| 1 | -2786 |
| 2 | -2172 |
| 3 | -2757 |
| 4 | -2791 |
| 5 | -2687 |
| 6 | -1580 |
| 7 | -1841 |
| 8 | -1841 |